Run P
Computed, not measured: a relaxed La2FeSe2O2 crystal at the GGA+U level of DFT.

Geometry as extended XYZ:
```
14
Lattice="0.000 -3.996 0.000 4.955 1.998 -3.005 4.920 -1.998 11.438" Properties=species:S:1:pos:R:3 pbc="T T T"
La 1.901 -3.996 4.214
La 6.838 -1.998 8.430
La 3.037 -1.998 0.003
La 7.974 0.000 4.219
Fe 4.938 -1.998 4.216
Fe 0.000 -3.996 0.000
Se 4.374 0.000 2.279
Se 4.356 -3.996 9.500
Se 5.519 0.000 -1.067
Se 5.501 -3.996 6.154
O 2.998 -1.998 4.808
O 7.936 -3.996 9.024
O 1.940 0.000 -0.591
O 6.877 -1.998 3.625
```

---

Run Q
56
Lattice="-4.024 -0.212 0.184 -0.553 -3.521 -16.146 1.079 -17.222 3.719" Properties=species:S:1:pos:R:3 comment="La2FeSe2O2, optimized geometry, DFT GGA+U" crystal_system=orthorhombic sg="Pna2_1, No. 33" pbc="T T T"
La -0.449 -4.990 -15.440
La -1.049 -15.860 3.106
La -1.839 -8.848 -6.085
La 0.342 -12.002 -6.249
La -2.216 -3.361 -7.356
La 0.660 -17.492 -4.975
La -0.136 -10.516 -14.334
La -1.420 -10.337 2.002
La -0.313 -3.838 -10.624
La -1.232 -17.015 -1.708
La -1.691 -7.893 -1.226
La 0.146 -12.960 -11.106
La -2.011 -2.230 -2.356
La -3.497 -18.831 -9.794
La -3.950 -9.670 -9.133
La -1.558 -11.391 -3.017
Fe 0.592 -14.301 -3.410
Fe -2.091 -6.549 -8.924
Fe -1.701 -16.107 -11.403
Fe 0.201 -4.743 -0.930
Fe 0.044 -5.036 -4.627
Fe -1.550 -15.814 -7.706
Fe -2.187 -7.823 -12.409
Fe 0.681 -13.027 0.075
Se 0.731 -12.948 2.601
Se -2.359 -7.909 -14.929
Se -1.556 -14.842 -5.374
Se -0.072 -6.015 -6.954
Se -0.124 -2.453 -5.055
Se -1.406 -18.398 -7.278
Se -2.035 -10.353 -11.733
Se 0.504 -10.498 -0.600
Se -2.431 -4.070 -13.039
Se 0.891 -16.782 0.706
Se 0.266 -8.716 -3.652
Se -1.806 -12.136 -8.681
Se 0.371 -15.536 -9.397
Se -1.894 -5.316 -2.936
Se -1.360 -13.957 -1.215
Se -0.163 -6.894 -11.117
O 0.085 -2.829 -1.373
O -1.574 -18.021 -10.962
O -1.967 -8.475 -8.537
O 0.478 -12.374 -3.797
O -2.237 -4.645 -9.444
O 0.694 -16.208 -2.888
O 0.297 -6.696 -0.617
O -1.840 -14.156 -11.715
O 0.187 -9.704 -6.999
O -1.682 -11.146 -5.335
O -1.987 -1.042 -0.348
O 0.492 -19.808 -11.987
O -1.579 -8.110 1.111
O 0.022 -12.743 -13.443
O -0.288 -2.668 -8.586
O -1.269 -18.185 -3.745

---

Which of them is least stable? Easy: run Q.

---

Run P
13
Lattice="5.110 -0.536 0.005 -0.550 5.296 -0.010 -2.278 -2.385 7.212" Properties=species:S:1:pos:R:3 comment="Ce2MgV2O8, optimized geometry, DFT GGA+U" crystal_system=triclinic sg="P1, No. 1" pbc="T T T"
Ce 2.139 3.708 1.435
Ce 0.141 -1.329 6.046
Mg -0.130 1.318 3.861
V -0.139 1.327 0.988
V 2.420 1.051 6.286
O 0.785 2.364 2.448
O 4.051 -0.247 2.451
O -1.374 0.168 6.839
O 1.103 2.472 6.834
O 1.161 0.231 4.928
O -1.427 2.399 4.927
O 3.591 2.202 0.513
O 1.243 -0.083 0.514

---

Run Q
13
Lattice="-2.408 -5.514 -2.007 -2.036 5.228 -2.951 6.136 -0.292 -0.999" Properties=species:S:1:pos:R:3 comment="Ce2MgV2O8, optimized geometry, DFT GGA+U" crystal_system=triclinic sg="P1, No. 1" pbc="T T T"
Ce -1.060 -4.223 -2.170
Ce 2.545 3.656 -3.587
Mg 3.661 1.035 -2.207
V 2.303 -1.701 -3.077
V -0.431 1.102 -3.035
O 2.487 -0.425 -1.678
O -0.703 0.432 -1.268
O 1.017 2.061 -2.705
O 3.861 -2.694 -2.649
O -0.720 0.020 -4.406
O 2.165 -0.861 -4.780
O 0.772 -2.821 -3.312
O -2.121 1.994 -3.050

---

Which of them is least stable? Easy: run Q.

---

Run P
27
Lattice="-0.947 -3.674 -2.535 8.474 -1.692 -0.835 3.991 -5.090 5.820" Properties=species:S:1:pos:R:3 comment="LiFe2OF5, optimized geometry, DFT GGA+U" crystal_system=triclinic sg="P1, No. 1" pbc="T T T"
Li 3.689 -4.121 0.365
Li 11.515 -10.421 2.464
Li 7.869 -6.302 2.081
Fe 5.405 -1.180 -0.540
Fe 2.310 -2.350 -1.466
Fe 9.757 -3.546 1.197
Fe 6.678 -4.582 0.080
Fe 2.320 -5.387 2.618
Fe 4.535 -7.460 0.988
O 3.878 -2.222 -0.439
O 3.445 -5.966 1.247
O 8.161 -4.510 1.205
F 6.756 -2.715 -0.623
F 4.985 -4.760 -1.102
F 5.381 -3.948 1.521
F 1.934 -4.202 -0.751
F 1.145 -1.638 -0.006
F 7.737 -5.457 -1.383
F 2.469 -3.457 1.931
F 3.870 -5.018 3.839
F 9.111 -7.105 0.642
F 6.239 -6.445 0.798
F 9.529 -6.299 3.236
F 10.259 -8.849 2.526
F 7.478 -8.188 2.830
F 6.500 -5.639 3.477
F 4.781 -7.699 3.010

---

Run Q
27
Lattice="2.611 -4.523 0.000 2.611 4.523 0.000 0.000 0.000 13.727" Properties=species:S:1:pos:R:3 comment="LiFe2OF5, optimized geometry, DFT GGA+U" crystal_system=trigonal sg="P3_1, No. 144" pbc="T T T"
Li 2.490 1.503 0.065
Li 2.675 1.405 4.640
Li 2.668 1.614 9.216
Fe 2.514 -1.521 11.377
Fe 2.671 -1.585 2.226
Fe 2.648 -1.417 6.802
Fe 0.056 0.075 2.225
Fe 5.129 0.011 6.801
Fe 2.648 4.436 11.376
O 0.912 -1.427 10.430
O 3.531 -0.076 5.854
O 3.391 -3.020 1.278
F 1.712 -0.157 3.344
F 1.704 -0.066 12.524
F 1.619 -0.085 7.900
F 0.904 -1.442 5.818
F 0.914 -1.434 1.227
F 1.875 -3.078 12.476
F 1.891 -2.962 7.919
F 1.816 -3.014 3.373
F 3.521 -0.062 1.242
F 3.523 -0.075 10.378
F 3.408 -3.018 10.393
F 3.396 -3.014 5.803
F 4.230 -1.404 12.495
F 4.339 -1.360 3.324
F 4.313 -1.443 7.949

---

Which of them is least stable? Easy: run Q.